# 1
This record from Materials Project describes an optimized crystal structure of K3Nb3B2O12. The functional is PBE.

Cell lengths 8.943, 8.943, 3.966 Å; angles 90.00, 90.00, 120.00 degrees
Atoms (fractional coordinates):
B 0.667 0.333 0.000
B 0.333 0.667 0.000
O 0.000 0.736 0.500
O 0.686 0.190 0.000
O 0.736 0.000 0.500
O 0.178 0.000 0.000
O 0.810 0.496 0.000
O 0.000 0.178 0.000
O 0.822 0.822 0.000
O 0.314 0.504 0.000
O 0.504 0.314 0.000
O 0.190 0.686 0.000
O 0.264 0.264 0.500
O 0.496 0.810 0.000
K 0.404 0.000 0.500
K 0.000 0.404 0.500
K 0.596 0.596 0.500
Nb 0.247 0.247 0.000
Nb 0.000 0.753 0.000
Nb 0.753 0.000 0.000

Results
The relative energy among the computed polymorphs comes out at 4 meV per atom. The value obtained for the maximum piezoelectric response is 0.55 C/m2.

# 2
This record from Materials Project describes an optimized crystal structure of BaBe2B2O6. The functional is PBE.

Cell lengths 8.815, 7.273, 6.747 Å; angles 77.82, 53.75, 48.43 degrees
Atoms (fractional coordinates):
B 0.665 0.085 0.665
B 0.337 0.908 0.347
B 0.089 0.667 0.091
B 0.913 0.343 0.903
O 0.183 0.746 0.106
O 0.465 0.101 0.745
O 0.261 0.818 0.531
O 0.807 0.259 0.896
O 0.770 0.975 0.787
O 0.900 0.529 0.800
O 0.217 0.036 0.227
O 0.965 0.784 0.972
O 0.533 0.901 0.256
O 0.023 0.219 0.032
O 0.731 0.199 0.469
O 0.101 0.477 0.192
Be 0.778 0.787 0.977
Be 0.030 0.035 0.212
Be 0.212 0.218 0.042
Be 0.965 0.971 0.777
Ba 0.618 0.634 0.630
Ba 0.384 0.371 0.372

Results
The relative energy among the computed polymorphs comes out at 30 meV per atom.

# 3
This record from Materials Project describes an optimized crystal structure of K2H2OsCCl5O2. The functional is PBE.

Cell lengths 7.219, 13.811, 22.470 Å; angles 81.22, 90.00, 90.00 degrees
Atoms (fractional coordinates):
Cl 0.786 0.551 0.719
Cl 0.911 0.314 0.380
Cl 0.630 0.722 0.603
Cl 0.402 0.192 0.605
Cl 0.598 0.808 0.395
Cl 0.714 0.551 0.219
Cl 0.325 0.923 0.283
Cl 0.902 0.808 0.895
Cl 0.286 0.449 0.781
Cl 0.863 0.606 0.507
Cl 0.175 0.923 0.783
Cl 0.675 0.077 0.717
Cl 0.856 0.233 0.600
Cl 0.557 0.991 0.112
Cl 0.431 0.521 0.399
Cl 0.569 0.479 0.601
Cl 0.589 0.314 0.880
Cl 0.825 0.077 0.217
Cl 0.644 0.233 0.100
Cl 0.931 0.479 0.101
Cl 0.666 0.099 0.504
Cl 0.637 0.606 0.007
Cl 0.166 0.901 0.996
Cl 0.098 0.192 0.105
Cl 0.356 0.767 0.900
Cl 0.334 0.901 0.496
Cl 0.370 0.278 0.397
Cl 0.943 0.991 0.612
Cl 0.363 0.394 0.993
Cl 0.144 0.767 0.400
Cl 0.130 0.278 0.897
Cl 0.834 0.099 0.004
Cl 0.089 0.686 0.620
Cl 0.057 0.009 0.388
Cl 0.411 0.686 0.120
Cl 0.069 0.521 0.899
Cl 0.443 0.009 0.888
Cl 0.214 0.449 0.281
Cl 0.870 0.722 0.103
Cl 0.137 0.394 0.493
K 0.621 0.848 0.004
K 0.855 0.357 0.991
K 0.406 0.140 0.208
K 0.645 0.357 0.491
K 0.912 0.322 0.216
K 0.412 0.678 0.284
K 0.594 0.860 0.792
K 0.355 0.643 0.509
K 0.121 0.152 0.496
K 0.379 0.152 0.996
K 0.094 0.140 0.708
K 0.906 0.860 0.292
K 0.588 0.322 0.716
K 0.145 0.643 0.009
K 0.088 0.678 0.784
K 0.879 0.848 0.504
O 0.431 0.709 0.738
O 0.387 0.409 0.138
O 0.596 0.090 0.362
O 0.069 0.709 0.238
O 0.904 0.090 0.862
O 0.345 0.195 0.782
O 0.404 0.910 0.638
O 0.931 0.291 0.762
O 0.887 0.591 0.362
O 0.655 0.805 0.218
O 0.113 0.409 0.638
O 0.569 0.291 0.262
O 0.155 0.195 0.282
O 0.096 0.910 0.138
O 0.845 0.805 0.718
O 0.613 0.591 0.862
C 0.994 0.975 0.124
C 0.504 0.529 0.875
C 0.996 0.529 0.375
C 0.006 0.025 0.876
C 0.496 0.471 0.125
C 0.004 0.471 0.625
C 0.494 0.025 0.376
C 0.506 0.975 0.624
H 0.091 0.139 0.304
H 0.995 0.649 0.245
H 0.929 0.274 0.806
H 0.571 0.274 0.306
H 0.215 0.227 0.313
H 0.005 0.351 0.755
H 0.785 0.773 0.687
H 0.909 0.861 0.696
H 0.409 0.139 0.804
H 0.429 0.726 0.694
H 0.495 0.351 0.255
H 0.715 0.773 0.187
H 0.505 0.649 0.745
H 0.071 0.726 0.194
H 0.285 0.227 0.813
H 0.591 0.861 0.196
Os 0.660 0.575 0.113
Os 0.659 0.083 0.610
Os 0.840 0.575 0.613
Os 0.160 0.425 0.387
Os 0.841 0.083 0.110
Os 0.159 0.917 0.890
Os 0.341 0.917 0.390
Os 0.340 0.425 0.887

# 4
This record from Materials Project describes an optimized crystal structure of SrRuO3. The functional is PBE.

Cell lengths 5.167, 5.199, 13.160 Å; angles 90.00, 90.00, 90.00 degrees
Atoms (fractional coordinates):
O 0.503 0.017 0.250
O 0.997 0.517 0.250
O 0.749 0.250 0.989
O 0.751 0.750 0.511
O 0.251 0.750 0.489
O 0.251 0.750 0.011
O 0.751 0.750 0.989
O 0.249 0.250 0.489
O 0.249 0.250 0.011
O 0.749 0.250 0.511
O 0.497 0.983 0.750
O 0.003 0.483 0.750
Sr 0.999 0.979 0.750
Sr 0.001 0.021 0.250
Sr 0.501 0.479 0.750
Sr 0.499 0.521 0.250
Ru 0.500 0.500 0.500
Ru 0.500 0.500 0.000
Ru 0.000 0.000 0.500
Ru 0.000 0.000 0.000

# 5
This record from Materials Project describes an optimized crystal structure of Li3TiSiO5. The functional is PBE.

Cell lengths 5.011, 5.451, 15.852 Å; angles 90.00, 90.00, 90.00 degrees
Atoms (fractional coordinates):
O 0.611 0.685 0.984
O 0.599 0.657 0.200
O 0.671 0.172 0.101
O 0.099 0.843 0.700
O 0.102 0.309 0.187
O 0.609 0.121 0.898
O 0.671 0.672 0.399
O 0.609 0.621 0.602
O 0.602 0.691 0.813
O 0.102 0.809 0.313
O 0.111 0.315 0.016
O 0.171 0.328 0.601
O 0.611 0.185 0.516
O 0.109 0.879 0.102
O 0.171 0.828 0.899
O 0.109 0.379 0.398
O 0.599 0.157 0.300
O 0.111 0.815 0.484
O 0.602 0.191 0.687
O 0.099 0.343 0.800
Li 0.499 0.833 0.090
Li 0.999 0.174 0.306
Li 0.499 0.326 0.806
Li 0.002 0.164 0.493
Li 0.502 0.836 0.507
Li 0.999 0.667 0.590
Li 0.499 0.333 0.410
Li 0.499 0.826 0.694
Li 0.502 0.336 0.993
Li 0.999 0.674 0.194
Li 0.999 0.167 0.910
Li 0.002 0.664 0.007
Si 0.506 0.339 0.597
Si 0.506 0.839 0.903
Si 0.006 0.161 0.097
Si 0.006 0.661 0.403
Ti 0.996 0.679 0.802
Ti 0.496 0.321 0.198
Ti 0.496 0.821 0.302
Ti 0.996 0.179 0.698

# 6
This record from Materials Project describes an optimized crystal structure of Mg5MnN4. The functional is PBE.

Cell lengths 7.257, 6.731, 5.176 Å; angles 90.00, 90.00, 90.00 degrees
Atoms (fractional coordinates):
Mg 0.054 0.001 0.750
Mg 0.446 0.001 0.750
Mg 0.554 0.999 0.250
Mg 0.446 0.499 0.750
Mg 0.054 0.499 0.750
Mg 0.946 0.501 0.250
Mg 0.946 0.999 0.250
Mg 0.250 0.250 0.278
Mg 0.554 0.501 0.250
Mg 0.750 0.750 0.722
N 0.497 0.250 0.497
N 0.250 0.997 0.048
N 0.750 0.497 0.952
N 0.503 0.750 0.503
N 0.003 0.250 0.497
N 0.750 0.003 0.952
N 0.250 0.503 0.048
N 0.997 0.750 0.503
Mn 0.250 0.750 0.288
Mn 0.750 0.250 0.712

# 7
This record from Materials Project describes an optimized crystal structure of YMg14SiO16. The functional is PBE.

Cell lengths 4.381, 8.780, 8.784 Å; angles 90.00, 90.00, 90.00 degrees
Atoms (fractional coordinates):
Mg 0.000 0.743 0.259
Mg 0.000 0.257 0.259
Mg 0.500 0.000 0.736
Mg 0.500 0.000 0.264
Mg 0.500 0.738 0.000
Mg 0.000 0.743 0.741
Mg 0.000 0.500 0.500
Mg 0.500 0.500 0.256
Mg 0.500 0.747 0.500
Mg 0.500 0.253 0.500
Mg 0.500 0.262 0.000
Mg 0.000 0.000 0.500
Mg 0.500 0.500 0.744
Mg 0.000 0.257 0.741
O 0.000 0.000 0.259
O 0.000 0.751 0.500
O 0.500 0.749 0.247
O 0.000 0.249 0.500
O 0.500 0.000 0.500
O 0.500 0.251 0.753
O 0.500 0.000 0.000
O 0.000 0.748 0.000
O 0.500 0.251 0.247
O 0.000 0.000 0.741
O 0.000 0.500 0.734
O 0.000 0.500 0.266
O 0.500 0.749 0.753
O 0.000 0.252 0.000
O 0.500 0.500 0.500
O 0.500 0.500 0.000
Y 0.000 0.000 0.000
Si 0.000 0.500 0.000

Results
The relative energy among the computed polymorphs comes out at 6 meV per atom.

| no. | ΔE_f (meV per atom) |
| --- | --- |
| 1 | -2877 |
| 2 | -3091 |
| 3 | -1221 |
| 4 | -1681 |
| 5 | -2831 |
| 6 | -660 |
| 7 | -2817 |